(1)
NaV24O58: optimized geometry, PBE with a Hubbard U.

Values from the calculation:
* corrected total energy (MP2020 scheme): -697.203 eV per cell
* total magnetization: 5.001 μB/f.u.
* symmetry: P1
* ΔH_f (0 K): -2300 meV per atom

abc: 7.3482 10.9718 14.3960
angles: 97.24 97.36 109.56
Fractional positions:
1 Na 0.4045 0.5577 0.5060
2 V 0.2728 0.1326 0.8257
3 V 0.7715 0.1302 0.8257
4 V 0.4227 0.9073 0.8784
5 V 0.9237 0.9071 0.8785
6 V 0.9240 0.4555 0.7846
7 V 0.4232 0.4546 0.7834
8 V 0.2534 0.6552 0.7106
9 V 0.7571 0.6552 0.7104
10 V 0.2558 0.2089 0.6043
11 V 0.7542 0.2056 0.6071
12 V 0.3968 0.9709 0.6435
13 V 0.8961 0.9714 0.6431
14 V 0.1032 0.0296 0.3570
15 V 0.6056 0.0332 0.3546
16 V 0.7467 0.7980 0.3964
17 V 0.2454 0.7928 0.3957
18 V 0.2416 0.3406 0.2867
19 V 0.7482 0.3488 0.2934
20 V 0.0771 0.5456 0.2164
21 V 0.5762 0.5447 0.2159
22 V 0.0764 0.0921 0.1203
23 V 0.5755 0.0915 0.1200
24 V 0.2271 0.8670 0.1735
25 V 0.7271 0.8679 0.1735
26 O 0.3419 0.2184 0.9309
27 O 0.8419 0.2184 0.9302
28 O 0.0000 0.0000 0.9999
29 O 0.4997 0.9996 0.0000
30 O 0.4652 0.4820 0.8968
31 O 0.9646 0.4802 0.8980
32 O 0.3496 0.7535 0.8902
33 O 0.8489 0.7534 0.8902
34 O 0.4939 0.0877 0.7999
35 O 0.9933 0.0871 0.7991
36 O 0.1907 0.9517 0.8591
37 O 0.6904 0.9513 0.8591
38 O 0.3233 0.2701 0.7527
39 O 0.8218 0.2685 0.7502
40 O 0.1762 0.4777 0.7527
41 O 0.6779 0.4777 0.7527
42 O 0.1741 0.0155 0.6655
43 O 0.6718 0.0090 0.6683
44 O 0.0012 0.6299 0.7451
45 O 0.4997 0.6289 0.7407
46 O 0.3464 0.8334 0.7266
47 O 0.8501 0.8331 0.7266
48 O 0.4876 0.1520 0.6107
49 O 0.9695 0.1514 0.6107
50 O 0.3312 0.3649 0.5945
51 O 0.8264 0.3569 0.5927
52 O 0.2007 0.6147 0.5959
53 O 0.7119 0.6149 0.5957
54 O 0.1782 0.1225 0.4673
55 O 0.6773 0.1221 0.4652
56 O 0.8196 0.8762 0.5310
57 O 0.3232 0.8782 0.5328
58 O 0.2876 0.3743 0.4014
59 O 0.7959 0.3881 0.4070
60 O 0.1835 0.6383 0.4073
61 O 0.6630 0.6439 0.4074
62 O 0.0120 0.8480 0.3881
63 O 0.5303 0.8504 0.3883
64 O 0.1492 0.1635 0.2705
65 O 0.6523 0.1652 0.2766
66 O 0.9980 0.3701 0.2571
67 O 0.5007 0.3699 0.2571
68 O 0.3356 0.9872 0.3348
69 O 0.8203 0.9889 0.3336
70 O 0.3229 0.5212 0.2476
71 O 0.8238 0.5234 0.2496
72 O 0.6778 0.7309 0.2493
73 O 0.1766 0.7302 0.2474
74 O 0.8088 0.0478 0.1411
75 O 0.3097 0.0479 0.1412
76 O 0.0062 0.9118 0.2010
77 O 0.5059 0.9116 0.1997
78 O 0.1510 0.2469 0.1102
79 O 0.6501 0.2454 0.1094
80 O 0.0343 0.5184 0.1032
81 O 0.5355 0.5183 0.1027
82 O 0.1580 0.7807 0.0685
83 O 0.6570 0.7806 0.0690


(2)
Li32Mn13Cr3O48: optimized geometry, PBE with a Hubbard U.

Values from the calculation:
* corrected total energy (MP2020 scheme): -656.819 eV per cell
* total magnetization: 45.005 μB/f.u.
* symmetry: P1
* ΔH_f (0 K): -2189 meV per atom

abc: 5.0146 8.6847 19.4735
angles: 98.28 94.83 89.85
Fractional positions:
1 Li 0.9928 0.1682 0.2498
2 Li 0.8752 0.3728 0.3750
3 Li 0.7516 0.2497 0.9997
4 Li 0.7437 0.9201 0.0004
5 Li 0.9884 0.1688 0.7504
6 Li 0.7533 0.5805 0.5002
7 Li 0.8755 0.3734 0.8752
8 Li 0.7495 0.2495 0.4997
9 Li 0.7449 0.9202 0.5005
10 Li 0.6249 0.1251 0.1250
11 Li 0.7561 0.5803 0.9998
12 Li 0.5063 0.3315 0.2501
13 Li 0.6280 0.1239 0.6248
14 Li 0.5010 0.9998 0.2503
15 Li 0.4899 0.6689 0.2494
16 Li 0.5104 0.3325 0.7510
17 Li 0.3754 0.8749 0.3750
18 Li 0.5004 0.0001 0.7505
19 Li 0.2492 0.7500 0.0000
20 Li 0.4933 0.6680 0.7497
21 Li 0.2430 0.4181 0.9998
22 Li 0.3762 0.8751 0.8749
23 Li 0.2535 0.0789 0.4991
24 Li 0.2533 0.7506 0.5001
25 Li 0.1249 0.6250 0.1249
26 Li 0.2443 0.4203 0.4998
27 Li 0.0078 0.8318 0.2503
28 Li 0.2559 0.0817 0.9994
29 Li 0.1256 0.6259 0.6253
30 Li 0.0022 0.5000 0.2496
31 Li 0.0064 0.8314 0.7501
32 Li 0.0004 0.5001 0.7501
33 Mn 0.8753 0.0417 0.3749
34 Mn 0.8739 0.7070 0.8748
35 Mn 0.6258 0.7914 0.1249
36 Mn 0.6246 0.4584 0.1249
37 Mn 0.6247 0.7916 0.6252
38 Mn 0.6268 0.4598 0.6258
39 Mn 0.3754 0.5417 0.3749
40 Mn 0.3741 0.2085 0.3749
41 Mn 0.3750 0.5419 0.8751
42 Mn 0.3746 0.2102 0.8754
43 Mn 0.1247 0.9584 0.1249
44 Mn 0.1257 0.2914 0.1249
45 Mn 0.1228 0.9573 0.6243
46 Cr 0.8739 0.7052 0.3749
47 Cr 0.8792 0.0398 0.8751
48 Cr 0.1323 0.2910 0.6250
49 O 0.9640 0.1066 0.0688
50 O 0.9282 0.7853 0.0690
51 O 0.9273 0.4274 0.0681
52 O 0.9625 0.1027 0.5682
53 O 0.8224 0.9647 0.1809
54 O 0.8229 0.3226 0.1820
55 O 0.9275 0.7838 0.5690
56 O 0.9263 0.4255 0.5681
57 O 0.7858 0.6432 0.1810
58 O 0.7167 0.8576 0.3190
59 O 0.8211 0.9647 0.6812
60 O 0.8208 0.3239 0.6824
61 O 0.6781 0.5376 0.3191
62 O 0.6771 0.1784 0.3181
63 O 0.7883 0.6445 0.6812
64 O 0.7123 0.8545 0.8188
65 O 0.4641 0.6067 0.0690
66 O 0.5653 0.7134 0.4315
67 O 0.5720 0.0727 0.4316
68 O 0.6780 0.5347 0.8194
69 O 0.6753 0.1774 0.8178
70 O 0.4276 0.9274 0.0679
71 O 0.4283 0.2853 0.0691
72 O 0.5371 0.3930 0.4308
73 O 0.4635 0.6074 0.5692
74 O 0.5713 0.7152 0.9310
75 O 0.5727 0.0738 0.9321
76 O 0.3230 0.8227 0.1819
77 O 0.3221 0.4645 0.1809
78 O 0.4271 0.9276 0.5682
79 O 0.4278 0.2878 0.5690
80 O 0.5373 0.3937 0.9309
81 O 0.2860 0.1432 0.1809
82 O 0.2126 0.3564 0.3190
83 O 0.3230 0.8226 0.6821
84 O 0.3265 0.4667 0.6817
85 O 0.1832 0.6758 0.3173
86 O 0.1781 0.0355 0.3191
87 O 0.2793 0.1433 0.6809
88 O 0.2134 0.3571 0.8192
89 O 0.0725 0.5745 0.4317
90 O 0.0721 0.2154 0.4308
91 O 0.1771 0.6781 0.8183
92 O 0.1764 0.0372 0.8191
93 O 0.0328 0.8937 0.4308
94 O 0.0725 0.5722 0.9319
95 O 0.0752 0.2167 0.9314
96 O 0.0338 0.8928 0.9311


(3)
LiMnCO3F2: optimized geometry, PBE with a Hubbard U.

Values from the calculation:
* corrected total energy (MP2020 scheme): -229.732 eV per cell
* total magnetization: 4.000 μB/f.u.
* symmetry: Pnma
* ΔH_f (0 K): -2308 meV per atom

abc: 6.3993 7.1282 8.1045
angles: 90.00 90.00 90.00
Fractional positions:
1 Li 0.7500 0.2621 0.2903
2 Li 0.7500 0.7621 0.2097
3 Li 0.2500 0.7379 0.7097
4 Li 0.2500 0.2379 0.7903
5 Mn 0.7500 0.9272 0.6235
6 Mn 0.7500 0.4272 0.8765
7 Mn 0.2500 0.5728 0.1235
8 Mn 0.2500 0.0728 0.3765
9 C 0.7500 0.5744 0.5470
10 C 0.7500 0.0744 0.9530
11 C 0.2500 0.9256 0.0470
12 C 0.2500 0.4256 0.4530
13 O 0.7500 0.2270 0.0453
14 O 0.7500 0.7270 0.4547
15 O 0.7500 0.4113 0.4952
16 O 0.7500 0.9113 0.0048
17 O 0.7500 0.1212 0.7930
18 O 0.7500 0.6212 0.7070
19 O 0.2500 0.0887 0.9952
20 O 0.2500 0.8788 0.2070
21 O 0.2500 0.3788 0.2930
22 O 0.2500 0.5887 0.5048
23 O 0.2500 0.2730 0.5453
24 O 0.2500 0.7730 0.9547
25 F 0.9567 0.5758 0.1413
26 F 0.9567 0.0758 0.3587
27 F 0.5433 0.5758 0.1413
28 F 0.5433 0.0758 0.3587
29 F 0.4567 0.4242 0.8587
30 F 0.4567 0.9242 0.6413
31 F 0.0433 0.9242 0.6413
32 F 0.0433 0.4242 0.8587


(4)
In2Co2O7: optimized geometry, PBE with a Hubbard U.

Values from the calculation:
* corrected total energy (MP2020 scheme): -140.310 eV per cell
* total magnetization: 2.000 μB/f.u.
* symmetry: Fd-3m
* ΔH_f (0 K): -1436 meV per atom

abc: 6.8742 6.8742 6.8742
angles: 60.00 60.00 60.00
Fractional positions:
1 In 0.1250 0.1250 0.1250
2 In 0.6250 0.1250 0.1250
3 In 0.1250 0.6250 0.1250
4 In 0.1250 0.1250 0.6250
5 Co 0.6250 0.6250 0.1250
6 Co 0.6250 0.1250 0.6250
7 Co 0.1250 0.6250 0.6250
8 Co 0.6250 0.6250 0.6250
9 O 0.2500 0.2500 0.2500
10 O 0.7041 0.2959 0.2959
11 O 0.7041 0.2959 0.7041
12 O 0.2959 0.7041 0.2959
13 O 0.7041 0.7041 0.2959
14 O 0.2959 0.2959 0.7041
15 O 0.9541 0.5459 0.5459
16 O 0.2959 0.7041 0.7041
17 O 0.9541 0.9541 0.5459
18 O 0.5459 0.9541 0.5459
19 O 0.5459 0.5459 0.9541
20 O 0.9541 0.5459 0.9541
21 O 0.5459 0.9541 0.9541
22 O 0.0000 0.0000 0.0000


(5)
Fe3O4F2: optimized geometry, PBE with a Hubbard U.

Values from the calculation:
* corrected total energy (MP2020 scheme): -130.229 eV per cell
* E above lowest polymorph: 14 meV/atom
* total magnetization: 14.001 μB/f.u.
* symmetry: C2/m
* ΔH_f (0 K): -1787 meV per atom

abc: 4.7386 4.7386 9.0420
angles: 89.57 89.57 84.76
Fractional positions:
1 Fe 0.0073 0.0073 0.6730
2 Fe 0.0000 0.0000 0.0000
3 Fe 0.9927 0.9927 0.3270
4 Fe 0.4643 0.4643 0.8339
5 Fe 0.5000 0.5000 0.5000
6 Fe 0.5357 0.5357 0.1661
7 O 0.8196 0.8196 0.1627
8 O 0.6865 0.3000 0.6601
9 O 0.6965 0.3035 0.0000
10 O 0.7000 0.3135 0.3399
11 O 0.3000 0.6865 0.6601
12 O 0.3035 0.6965 0.0000
13 O 0.3135 0.7000 0.3399
14 O 0.1804 0.1804 0.8373
15 F 0.8026 0.8026 0.8307
16 F 0.8099 0.8099 0.5021
17 F 0.1901 0.1901 0.4979
18 F 0.1974 0.1974 0.1693


(6)
CaMo2O4: optimized geometry, PBE with a Hubbard U.

Values from the calculation:
* corrected total energy (MP2020 scheme): -118.433 eV per cell
* E above lowest polymorph: 50 meV/atom
* total magnetization: 6.000 μB/f.u.
* symmetry: Cmcm
* ΔH_f (0 K): -2247 meV per atom

abc: 5.5143 5.5143 10.5163
angles: 90.00 90.00 146.02
Fractional positions:
1 Ca 0.6150 0.3850 0.7500
2 Ca 0.3850 0.6150 0.2500
3 Mo 0.1327 0.8673 0.0716
4 Mo 0.8673 0.1327 0.9284
5 Mo 0.1327 0.8673 0.4284
6 Mo 0.8673 0.1327 0.5716
7 O 0.7648 0.2352 0.3892
8 O 0.2352 0.7648 0.6108
9 O 0.2352 0.7648 0.8892
10 O 0.7648 0.2352 0.1108
11 O 0.0380 0.9620 0.2500
12 O 0.9620 0.0380 0.7500
13 O 0.5000 0.5000 0.0000
14 O 0.5000 0.5000 0.5000


(7)
Sr2NbCrO6: optimized geometry, PBE with a Hubbard U.

Values from the calculation:
* corrected total energy (MP2020 scheme): -335.470 eV per cell
* total magnetization: 0.000 μB/f.u.
* ΔH_f (0 K): -3105 meV per atom

abc: 8.0161 8.0161 9.8177
angles: 65.91 65.91 90.00
Fractional positions:
1 Sr 0.6250 0.6250 0.2500
2 Sr 0.8750 0.3750 0.7500
3 Sr 0.1250 0.1250 0.2500
4 Sr 0.3750 0.8750 0.7500
5 Sr 0.3750 0.3750 0.7500
6 Sr 0.6250 0.1250 0.2500
7 Sr 0.8750 0.8750 0.7500
8 Sr 0.1250 0.6250 0.2500
9 Nb 0.2500 0.7500 0.5000
10 Nb 0.5000 0.5000 0.0000
11 Nb 0.7500 0.2500 0.5000
12 Nb 0.0000 0.0000 0.0000
13 Cr 0.7500 0.7500 0.5000
14 Cr 0.0000 0.5000 0.0000
15 Cr 0.5000 0.0000 0.0000
16 Cr 0.2500 0.2500 0.5000
17 O 0.5000 0.7502 0.0000
18 O 0.7500 0.5002 0.5000
19 O 0.0000 0.2502 0.0000
20 O 0.2500 0.0002 0.5000
21 O 0.5000 0.2498 0.0000
22 O 0.7500 0.9998 0.5000
23 O 0.0000 0.7498 0.0000
24 O 0.2500 0.4998 0.5000
25 O 0.3751 0.8751 0.2498
26 O 0.6251 0.6251 0.7498
27 O 0.8751 0.3751 0.2498
28 O 0.1251 0.1251 0.7498
29 O 0.6249 0.1249 0.7502
30 O 0.8749 0.8749 0.2502
31 O 0.1249 0.6249 0.7502
32 O 0.3749 0.3749 0.2502
33 O 0.7498 0.0000 0.0000
34 O 0.9998 0.7500 0.5000
35 O 0.2498 0.5000 0.0000
36 O 0.4998 0.2500 0.5000
37 O 0.2502 0.0000 0.0000
38 O 0.5002 0.7500 0.5000
39 O 0.7502 0.5000 0.0000
40 O 0.0002 0.2500 0.5000


(8)
MgCr2O4: optimized geometry, PBE with a Hubbard U.

Values from the calculation:
* corrected total energy (MP2020 scheme): -115.321 eV per cell
* E above lowest polymorph: 210 meV/atom
* total magnetization: 6.000 μB/f.u.
* symmetry: Imma
* ΔH_f (0 K): -2423 meV per atom

abc: 5.9329 5.9329 5.9329
angles: 119.17 116.67 93.66
Fractional positions:
1 Mg 0.0000 0.5000 0.5000
2 Mg 0.5000 0.5000 0.0000
3 Cr 0.6245 0.8745 0.7500
4 Cr 0.3755 0.1255 0.2500
5 Cr 0.0000 0.5000 0.0000
6 Cr 0.0000 0.0000 0.5000
7 O 0.2490 0.7323 0.9833
8 O 0.7744 0.2441 0.5303
9 O 0.2490 0.2657 0.5167
10 O 0.2137 0.2441 0.9697
11 O 0.7863 0.7559 0.0303
12 O 0.2256 0.7559 0.4697
13 O 0.7510 0.7343 0.4833
14 O 0.7510 0.2677 0.0167


(9)
Ni3H2Se3O10: optimized geometry, PBE with a Hubbard U.

Values from the calculation:
* corrected total energy (MP2020 scheme): -214.647 eV per cell
* total magnetization: 6.000 μB/f.u.
* symmetry: P-1
* ΔH_f (0 K): -1291 meV per atom

abc: 8.0959 8.2211 8.5073
angles: 69.83 62.91 68.04
Fractional positions:
1 Ni 0.0000 0.0000 0.0000
2 Ni 0.5000 0.5000 0.5000
3 Ni 0.6533 0.0369 0.8026
4 Ni 0.3467 0.9631 0.1974
5 Ni 0.7100 0.8668 0.3908
6 Ni 0.2900 0.1332 0.6092
7 H 0.0612 0.1888 0.4045
8 H 0.9388 0.8112 0.5955
9 H 0.9651 0.1236 0.3133
10 H 0.0349 0.8764 0.6867
11 Se 0.5692 0.2364 0.2365
12 Se 0.4308 0.7636 0.7635
13 Se 0.7963 0.6682 0.0610
14 Se 0.2037 0.3318 0.9390
15 Se 0.1733 0.6702 0.2983
16 Se 0.8267 0.3298 0.7017
17 O 0.0875 0.1298 0.3064
18 O 0.9125 0.8702 0.6936
19 O 0.8049 0.1395 0.8799
20 O 0.1951 0.8605 0.1201
21 O 0.1354 0.2118 0.8529
22 O 0.8646 0.7882 0.1471
23 O 0.4058 0.1731 0.9751
24 O 0.5942 0.8269 0.0249
25 O 0.3034 0.7141 0.3869
26 O 0.6966 0.2859 0.6131
27 O 0.5536 0.6895 0.5616
28 O 0.4464 0.3105 0.4384
29 O 0.2062 0.8966 0.7575
30 O 0.7938 0.1034 0.2425
31 O 0.5360 0.9475 0.6704
32 O 0.4640 0.0525 0.3296
33 O 0.9433 0.7278 0.4544
34 O 0.0567 0.2722 0.5456
35 O 0.7071 0.5122 0.2433
36 O 0.2929 0.4878 0.7567